LiSnP3O9, relaxed, DFT PBE; total DFT energy (no corrections) = -6.82 eV per atom; space group = P-6c2 (188); total magnetization = 0.0 Bohr magnetons per cell; ΔE_f = -2496 meV per atom
1.0
6.623 0.000 0.000
-3.312 5.736 0.000
0.000 0.000 10.016
Li Sn P O
2 2 6 18
Direct
0.000 0.000 0.000
0.000 0.000 0.500
0.667 0.333 0.000
0.667 0.333 0.500
0.085 0.394 0.250
0.085 0.691 0.750
0.309 0.394 0.750
0.309 0.915 0.250
0.606 0.691 0.250
0.606 0.915 0.750
0.105 0.457 0.750
0.105 0.647 0.250
0.303 0.027 0.120
0.303 0.027 0.380
0.303 0.276 0.620
0.303 0.276 0.880
0.353 0.457 0.250
0.353 0.895 0.750
0.543 0.647 0.750
0.543 0.895 0.250
0.724 0.027 0.620
0.724 0.027 0.880
0.724 0.697 0.120
0.724 0.697 0.380
0.973 0.276 0.120
0.973 0.276 0.380
0.973 0.697 0.620
0.973 0.697 0.880